This record from the Materials Project describes crystalline Ba3HoB3O9 at its relaxed geometry. The functional is PBE.

Unit cell a=9.4939 b=9.4939 c=18.0416 alpha=90.00 beta=90.00 gamma=120.00
Space group P6_3cm (No. 185)
Symmetry-distinct sites (fractional):
Ba  0.0000  0.0000  0.0859 (multiplicity 2)
Ba  0.0000  0.3174  0.2386 (multiplicity 6)
Ba  0.0000  0.3484  0.0000 (multiplicity 6)
Ba  0.3333  0.6667  0.1466 (multiplicity 4)
Ho  0.0000  0.0000  0.3722 (multiplicity 2)
Ho  0.3333  0.6667  0.3663 (multiplicity 4)
B  0.0000  0.3263  0.4429 (multiplicity 6)
B  0.0000  0.3326  0.6184 (multiplicity 6)
B  0.0000  0.3401  0.7904 (multiplicity 6)
O  0.0000  0.1810  0.4528 (multiplicity 6)
O  0.0000  0.1942  0.8003 (multiplicity 6)
O  0.0000  0.4796  0.6181 (multiplicity 6)
O  0.1462  0.4723  0.4382 (multiplicity 12)
O  0.1470  0.3327  0.6189 (multiplicity 12)
O  0.1469  0.4859  0.7852 (multiplicity 12)

Output
**Crystal system**: hexagonal
**DFT formation energy**: -3.306 eV/atom
**E (MP2020)**: -766.9 eV for the cell shown

=====

This record from the Materials Project describes crystalline In4Sn3O12 at its relaxed geometry. The functional is PBE.

Unit cell a=6.295 b=6.338 c=12.676 alpha=99.31 beta=99.74 gamma=99.40
Space group P-1 (No. 2)
Symmetry-distinct sites (fractional):
In  0.103  0.134  0.405 (multiplicity 2)
In  0.187  0.395  0.682 (multiplicity 2)
In  0.194  0.397  0.183 (multiplicity 2)
In  0.364  0.686  0.948 (multiplicity 2)
Sn  0.104  0.140  0.908 (multiplicity 2)
Sn  0.361  0.682  0.448 (multiplicity 2)
Sn  0.496  0.996  0.748 (multiplicity 2)
O  0.079  0.413  0.841 (multiplicity 2)
O  0.085  0.834  0.963 (multiplicity 2)
O  0.090  0.819  0.460 (multiplicity 2)
O  0.094  0.425  0.342 (multiplicity 2)
O  0.181  0.048  0.201 (multiplicity 2)
O  0.184  0.059  0.705 (multiplicity 2)
O  0.313  0.409  0.038 (multiplicity 2)
O  0.331  0.425  0.542 (multiplicity 2)
O  0.407  0.696  0.287 (multiplicity 2)
O  0.411  0.685  0.779 (multiplicity 2)
O  0.431  0.096  0.905 (multiplicity 2)
O  0.451  0.101  0.411 (multiplicity 2)

Output
**Crystal system**: triclinic
**DFT formation energy**: -2.010 eV/atom
**E (MP2020)**: -241.2 eV for the cell shown

=====

This record from the Materials Project describes crystalline CsIrN2 at its relaxed geometry. The functional is PBE.

Unit cell a=6.193 b=12.356 c=16.666 alpha=90.00 beta=90.00 gamma=90.00
Space group Pbca (No. 61)
Symmetry-distinct sites (fractional):
Cs  0.138  0.249  0.189 (multiplicity 8)
Cs  0.245  0.000  0.064 (multiplicity 8)
Ir  0.165  0.247  0.438 (multiplicity 8)
Ir  0.247  0.501  0.813 (multiplicity 8)
N  0.028  0.514  0.236 (multiplicity 8)
N  0.121  0.745  0.024 (multiplicity 8)
N  0.213  0.135  0.868 (multiplicity 8)
N  0.238  0.611  0.393 (multiplicity 8)

Output
**Relative energy among the computed polymorphs**: 0.000 eV per atom
**Crystal system**: orthorhombic
**DFT formation energy**: 0.197 eV/atom
**E (MP2020)**: -409.9 eV for the cell shown

=====

This record from the Materials Project describes crystalline Cs2TaAgCl6 at its relaxed geometry. The functional is PBE.

Unit cell a=10.565 b=10.565 c=10.565 alpha=90.00 beta=90.00 gamma=90.00
Space group Fm-3m (No. 225)
Symmetry-distinct sites (fractional):
Cs  0.250  0.250  0.250 (multiplicity 8)
Ta  0.000  0.000  0.000 (multiplicity 4)
Ag  0.000  0.000  0.500 (multiplicity 4)
Cl  0.000  0.000  0.236 (multiplicity 24)

Output
**Crystal system**: cubic
**DFT formation energy**: -1.663 eV/atom
**E (MP2020)**: -176.8 eV for the cell shown

=====

This record from the Materials Project describes crystalline Mn5Si3 at its relaxed geometry. The functional is PBE.

Unit cell a=6.8946 b=6.8946 c=4.7890 alpha=90.00 beta=90.00 gamma=120.00
Space group P6_3/mcm (No. 193)
Symmetry-distinct sites (fractional):
Mn  0.0000  0.2449  0.2500 (multiplicity 6)
Mn  0.3333  0.6667  0.0000 (multiplicity 4)
Si  0.0000  0.3977  0.7500 (multiplicity 6)

Output
**Relative energy among the computed polymorphs**: 0.000 eV per atom
**Crystal system**: hexagonal
**DFT formation energy**: -0.322 eV/atom
**E (MP2020)**: -129.3 eV for the cell shown

=====

This record from the Materials Project describes crystalline SmFe3 at its relaxed geometry. The functional is PBE.

Unit cell a=5.1831 b=5.1831 c=24.5190 alpha=90.00 beta=90.00 gamma=120.00
Space group R-3m (No. 166, hexagonal axes)
Symmetry-distinct sites (fractional):
Sm  0.0000  0.0000  0.0000 (multiplicity 3)
Sm  0.0000  0.0000  0.1421 (multiplicity 6)
Fe  0.0000  0.0000  0.3327 (multiplicity 6)
Fe  0.0000  0.0000  0.5000 (multiplicity 3)
Fe  0.0034  0.5017  0.0803 (multiplicity 18)

Output
**Crystal system**: trigonal
**DFT formation energy**: 0.008 eV/atom